Compound: Li6MnFe5B6O18
Source: the Materials Project
Functional: PBE with a Hubbard U
Structure: relaxed

Values from the calculation:
DFT formation energy = -2.3563 eV/atom
Magnetization = 25.00 μB per cell
Total DFT energy (no corrections) = -6.989 eV/atom

Unit cell a=3.140 b=8.244 c=14.294 alpha=89.90 beta=90.00 gamma=90.00
Fractional positions:
Li 0.500 0.707 0.009
Li 0.500 0.660 0.642
Li 0.500 0.635 0.349
Li 0.500 0.206 0.507
Li 0.500 0.159 0.143
Li 0.500 0.134 0.850
Mn 0.000 0.326 0.686
Fe 0.000 0.863 0.496
Fe 0.000 0.824 0.184
Fe 0.000 0.812 0.820
Fe 0.000 0.364 0.997
Fe 0.000 0.312 0.320
B 0.500 0.000 0.333
B 0.000 0.000 0.000
B 0.500 0.998 0.667
B 0.500 0.502 0.835
B 0.000 0.499 0.499
B 0.500 0.500 0.167
O 0.500 0.987 0.569
O 0.500 0.982 0.236
O 0.500 0.864 0.391
O 0.500 0.857 0.721
O 0.000 0.848 0.043
O 0.500 0.656 0.875
O 0.500 0.652 0.209
O 0.000 0.638 0.554
O 0.000 0.514 0.402
O 0.500 0.489 0.070
O 0.500 0.487 0.738
O 0.500 0.364 0.891
O 0.500 0.360 0.221
O 0.000 0.346 0.540
O 0.500 0.155 0.372
O 0.500 0.148 0.710
O 0.000 0.140 0.055
O 0.000 0.012 0.903